# 1
# LiMg

An optimized crystal structure of LiMg (meta-GGA r2SCAN, the Materials Project).

Its magnetic moment is 0.0 μB/f.u. As for the formation energy: -1.8 kJ/mol of atoms.

It has space group P-6m2 (No. 187), with a = 3.1085 Å, b = 3.1085 Å, c = 5.0255 Å, α = 90.00°, β = 90.00° and γ = 120.00°. The inequivalent atoms are Li at (0.0000, 0.0000, 0.0000) and Mg at (0.6667, 0.3333, 0.5000).

=====

# 2
# Li3Mg5

An optimized crystal structure of Li3Mg5 (meta-GGA r2SCAN, the Materials Project).

Its magnetic moment is 0.0 μB/f.u. As for the formation energy: -2.7 kJ/mol of atoms.

It has space group I4/mmm (No. 139), with a = 6.3955 Å, b = 6.3955 Å, c = 8.2557 Å, α = 90.00°, β = 90.00° and γ = 90.00°. The inequivalent atoms are Li at (0.0000, 0.0000, 0.0000), Li at (0.0000, 0.5000, 0.0000), Mg at (0.0000, 0.0000, 0.5000) and Mg at (0.2500, 0.2500, 0.2500).

=====

# 3
# LiMg

An optimized crystal structure of LiMg (meta-GGA r2SCAN, the Materials Project).

Its magnetic moment is 0.0 μB/f.u. As for the formation energy: -3.2 kJ/mol of atoms.

It has space group Cmmm (No. 65), with a = 3.4492 Å, b = 4.9239 Å, c = 4.8884 Å, α = 90.00°, β = 90.00° and γ = 90.00°. The inequivalent atoms are Li at (0.0000, 0.0000, 0.0000) and Mg at (0.0000, 0.5000, 0.5000).

=====

# 4
# Li3Mg

An optimized crystal structure of Li3Mg (meta-GGA r2SCAN, the Materials Project).

Its magnetic moment is 0.0 μB/f.u. As for the formation energy: -2.2 kJ/mol of atoms.

It has space group I4/mmm (No. 139), with a = 4.3159 Å, b = 4.3159 Å, c = 8.5564 Å, α = 90.00°, β = 90.00° and γ = 90.00°. The inequivalent atoms are Li at (0.0000, 0.0000, 0.0000), Li at (0.0000, 0.5000, 0.2500) and Mg at (0.0000, 0.0000, 0.5000).

=====

# 5
# LiMg

An optimized crystal structure of LiMg (meta-GGA r2SCAN, the Materials Project).

Its magnetic moment is 0.0 μB/f.u. As for the formation energy: -4.8 kJ/mol of atoms.

It has space group Amm2 (No. 38), with a = 4.9223 Å, b = 3.3016 Å, c = 14.8173 Å, α = 90.00°, β = 90.00° and γ = 90.00°. The inequivalent atoms are Li at (0.0000, 0.0000, 0.0000), Li at (0.0000, 0.0000, 0.3375), Li at (0.5000, 0.0000, 0.1746), Mg at (0.0000, 0.0000, 0.6697), Mg at (0.5000, 0.0000, 0.5127) and Mg at (0.5000, 0.0000, 0.8363).

=====

# 6
# LiMg

An optimized crystal structure of LiMg (meta-GGA r2SCAN, the Materials Project).

Its magnetic moment is 0.0 μB/f.u. As for the formation energy: -2.2 kJ/mol of atoms.

It has space group R-3m (No. 166, hexagonal axes), with a = 3.0915 Å, b = 3.0915 Å, c = 15.2432 Å, α = 90.00°, β = 90.00° and γ = 120.00°. The inequivalent atoms are Li at (0.0000, 0.0000, 0.0000) and Mg at (0.0000, 0.0000, 0.5000).

=====

# 7
# RbLiMg6O7

An optimized crystal structure of RbLiMg6O7 (meta-GGA r2SCAN, the Materials Project).

Its magnetic moment is 0.0 μB/f.u. As for the formation energy: -211.8 kJ/mol of atoms.

It has space group P4mm (No. 99), with a = 4.5167 Å, b = 4.5167 Å, c = 8.0859 Å, α = 90.00°, β = 90.00° and γ = 90.00°. The inequivalent atoms are Rb at (0.0000, 0.0000, 0.0000), Li at (0.0000, 0.0000, 0.5562), Mg at (0.0000, 0.5000, 0.3369), Mg at (0.0000, 0.5000, 0.8352), Mg at (0.5000, 0.5000, 0.0990), Mg at (0.5000, 0.5000, 0.5865), O at (0.0000, 0.0000, 0.3364), O at (0.0000, 0.5000, 0.0836), O at (0.0000, 0.5000, 0.6019), O at (0.5000, 0.5000, 0.3425) and O at (0.5000, 0.5000, 0.8429).

=====

# 8
# Li2Mg2S3O12

An optimized crystal structure of Li2Mg2S3O12 (meta-GGA r2SCAN, the Materials Project).

Its magnetic moment is 0.0 μB/f.u. As for the formation energy: -205.5 kJ/mol of atoms.

It has space group Pbcn (No. 60), with a = 12.1201 Å, b = 8.5255 Å, c = 8.6869 Å, α = 90.00°, β = 90.00° and γ = 90.00°. The inequivalent atoms are Li at (0.1813, 0.2137, 0.2238), Mg at (0.1108, 0.2543, 0.5411), S at (0.0000, 0.4526, 0.2500), S at (0.1484, 0.1054, 0.8959), O at (0.0358, 0.1492, 0.9319), O at (0.0622, 0.4536, 0.6408), O at (0.0788, 0.3489, 0.3312), O at (0.1595, 0.0668, 0.3925), O at (0.1816, 0.1679, 0.7439) and O at (0.2229, 0.1693, 0.0153).